No. 1
# Li2FeCu2O6

A relaxed Li2FeCu2O6 crystal (GGA+U, Materials Project).

## Properties
Its size of the total moment is 8.0 μB/f.u. For the formation energy, the calculation gives -1341 meV per atom. The volume comes out at 10.03 Å³ per atom. For the mass density, the calculation gives 4.4 g/cm³. Its space group is C2/m.

a = 6.611 Å, b = 6.611 Å, c = 5.969 Å
α = 104.33°, β = 104.33°, γ = 25.92°
Element x y z (fractional)
Li  0.164  0.164  0.319
Li  0.836  0.836  0.681
Fe  0.500  0.500  0.500
Cu  0.164  0.164  0.837
Cu  0.836  0.836  0.163
O  0.005  0.005  0.721
O  0.322  0.322  0.927
O  0.336  0.336  0.400
O  0.664  0.664  0.600
O  0.678  0.678  0.073
O  0.995  0.995  0.279

***

No. 2
# PrMgMo2O6

A relaxed PrMgMo2O6 crystal (GGA+U, Materials Project).

## Properties
Its size of the total moment is 5.0 μB/f.u. For the formation energy, the calculation gives -2567 meV per atom. The volume comes out at 12.60 Å³ per atom. For the mass density, the calculation gives 6.0 g/cm³. Its space group is Pc.

a = 5.479 Å, b = 5.692 Å, c = 9.744 Å
α = 90.00°, β = 123.94°, γ = 90.00°
Element x y z (fractional)
Pr  0.000  0.195  0.000
Pr  0.000  0.805  0.500
Mg  0.524  0.298  0.500
Mg  0.524  0.702  0.000
Mo  0.260  0.253  0.750
Mo  0.260  0.747  0.250
Mo  0.761  0.257  0.250
Mo  0.761  0.743  0.750
O  0.152  0.202  0.497
O  0.152  0.798  0.997
O  0.402  0.331  0.002
O  0.402  0.669  0.502
O  0.519  0.069  0.321
O  0.519  0.931  0.821
O  0.632  0.461  0.819
O  0.632  0.539  0.319
O  0.864  0.057  0.685
O  0.864  0.943  0.185
O  0.977  0.455  0.182
O  0.977  0.545  0.682

***

No. 3
# BaMnInWO6

A relaxed BaMnInWO6 crystal (GGA+U, Materials Project).

## Properties
Its size of the total moment is 4.5 μB/f.u. For the formation energy, the calculation gives -2193 meV per atom. The volume comes out at 13.85 Å³ per atom. For the mass density, the calculation gives 7.0 g/cm³. Its space group is F-43m.

a = 5.807 Å, b = 5.807 Å, c = 5.807 Å
α = 60.00°, β = 60.00°, γ = 60.00°
Element x y z (fractional)
Ba  0.000  0.000  0.000
Mn  0.250  0.250  0.250
In  0.500  0.500  0.500
W  0.750  0.750  0.750
O  0.512  0.512  0.988
O  0.512  0.988  0.512
O  0.512  0.988  0.988
O  0.988  0.512  0.512
O  0.988  0.512  0.988
O  0.988  0.988  0.512